This record from Materials Project describes a relaxed BaCeEuHfO6 crystal. The functional is PBE.

Formation energy from the elements in eV/atom: -3.846
ΔE to the lowest computed polymorph in meV/atom: 0.0
Corrected total energy (MP2020 scheme) in eV per atom: -9.62

Cell lengths 8.5841, 8.5977, 8.6131 Å; angles 90.00, 90.00, 90.00 degrees
Space group Pnnn (No. 48, origin choice 2)
One atom of each set of equivalent atoms:
Ba (0.2500, 0.2500, 0.2500) (multiplicity 2)
Ba (0.2500, 0.7500, 0.7500) (multiplicity 2)
Ce (0.0000, 0.0000, 0.0000) (multiplicity 4)
Eu (0.2500, 0.2500, 0.7500) (multiplicity 2)
Eu (0.2500, 0.7500, 0.2500) (multiplicity 2)
Hf (0.0000, 0.0000, 0.5000) (multiplicity 4)
O (0.0301, 0.2373, 0.4634) (multiplicity 8)
O (0.0503, 0.0400, 0.7365) (multiplicity 8)
O (0.2367, 0.5480, 0.0432) (multiplicity 8)



This record from Materials Project describes a relaxed BaCeEuHfO6 crystal. The functional is PBE.

Formation energy from the elements in eV/atom: -3.605
ΔE to the lowest computed polymorph in meV/atom: 241.5
Corrected total energy (MP2020 scheme) in eV per atom: -9.38

Cell lengths 8.6358, 8.6358, 8.6358 Å; angles 90.00, 90.00, 90.00 degrees
Space group F-43m (No. 216)
One atom of each set of equivalent atoms:
Ba (0.0000, 0.0000, 0.0000) (multiplicity 4)
Ce (0.2500, 0.2500, 0.2500) (multiplicity 4)
Eu (0.0000, 0.0000, 0.5000) (multiplicity 4)
Hf (0.2500, 0.2500, 0.7500) (multiplicity 4)
O (0.0084, 0.2500, 0.7500) (multiplicity 24)



This record from Materials Project describes a relaxed BaCe2EuO6 crystal. The functional is PBE.

Formation energy from the elements in eV/atom: -3.534
ΔE to the lowest computed polymorph in meV/atom: 64.7
Corrected total energy (MP2020 scheme) in eV per atom: -8.91

Cell lengths 8.7452, 8.7683, 4.4900 Å; angles 90.00, 90.00, 90.00 degrees
Space group Cmmm (No. 65)
One atom of each set of equivalent atoms:
Ba (0.0000, 0.0000, 0.0000) (multiplicity 2)
Ce (0.2500, 0.2500, 0.5000) (multiplicity 4)
Eu (0.0000, 0.5000, 0.0000) (multiplicity 2)
O (0.0000, 0.1856, 0.5000) (multiplicity 4)
O (0.1771, 0.5000, 0.5000) (multiplicity 4)
O (0.2500, 0.2500, 0.0000) (multiplicity 4)



This record from Materials Project describes a relaxed BaCe2EuO6 crystal. The functional is PBE.

Formation energy from the elements in eV/atom: -3.468
ΔE to the lowest computed polymorph in meV/atom: 130.1
Corrected total energy (MP2020 scheme) in eV per atom: -8.84

Cell lengths 4.4489, 4.4489, 8.8882 Å; angles 90.00, 90.00, 90.00 degrees
Space group P4/mmm (No. 123)
One atom of each set of equivalent atoms:
Ba (0.0000, 0.0000, 0.0000) (multiplicity 1)
Ce (0.5000, 0.5000, 0.2524) (multiplicity 2)
Eu (0.0000, 0.0000, 0.5000) (multiplicity 1)
O (0.0000, 0.5000, 0.2547) (multiplicity 4)
O (0.5000, 0.5000, 0.0000) (multiplicity 1)
O (0.5000, 0.5000, 0.5000) (multiplicity 1)



This record from Materials Project describes a relaxed BaCe2EuO6 crystal. The functional is PBE.

Formation energy from the elements in eV/atom: -3.598
ΔE to the lowest computed polymorph in meV/atom: 0.0
Corrected total energy (MP2020 scheme) in eV per atom: -8.97

Cell lengths 8.8160, 6.2120, 6.2189 Å; angles 90.00, 90.00, 90.00 degrees
Space group Pmc2_1 (No. 26)
One atom of each set of equivalent atoms:
Ba (0.0000, 0.2428, 0.0000) (multiplicity 2)
Ce (0.2557, 0.2496, 0.4724) (multiplicity 4)
Eu (0.5000, 0.2558, 0.9423) (multiplicity 2)
O (0.0000, 0.3259, 0.4578) (multiplicity 2)
O (0.2129, 0.0428, 0.7666) (multiplicity 4)
O (0.3121, 0.4547, 0.1761) (multiplicity 4)
O (0.5000, 0.1407, 0.5049) (multiplicity 2)



This record from Materials Project describes a relaxed BaCeEuSbO6 crystal. The functional is PBE.

Formation energy from the elements in eV/atom: -2.860
ΔE to the lowest computed polymorph in meV/atom: 118.7
Corrected total energy (MP2020 scheme) in eV per atom: -8.05

Cell lengths 8.6208, 8.6571, 8.6669 Å; angles 90.00, 90.00, 90.00 degrees
Space group P222 (No. 16)
One atom of each set of equivalent atoms:
Ba (0.0000, 0.0000, 0.0000) (multiplicity 1)
Ba (0.0000, 0.0000, 0.5000) (multiplicity 1)
Ba (0.0000, 0.5000, 0.0000) (multiplicity 1)
Ba (0.5000, 0.5000, 0.0000) (multiplicity 1)
Ce (0.2528, 0.2515, 0.2548) (multiplicity 4)
Eu (0.0000, 0.5000, 0.5000) (multiplicity 1)
Eu (0.5000, 0.0000, 0.0000) (multiplicity 1)
Eu (0.5000, 0.0000, 0.5000) (multiplicity 1)
Eu (0.5000, 0.5000, 0.5000) (multiplicity 1)
Sb (0.2512, 0.2513, 0.7471) (multiplicity 4)
O (0.0146, 0.2145, 0.7788) (multiplicity 4)
O (0.2072, 0.2889, 0.5140) (multiplicity 4)
O (0.2201, 0.4867, 0.7842) (multiplicity 4)
O (0.2896, 0.0132, 0.7065) (multiplicity 4)
O (0.2944, 0.2131, 0.9852) (multiplicity 4)
O (0.4860, 0.2935, 0.7096) (multiplicity 4)



This record from Materials Project describes a relaxed BaCeEuSbO6 crystal. The functional is PBE.

Formation energy from the elements in eV/atom: -2.932
ΔE to the lowest computed polymorph in meV/atom: 46.7
Corrected total energy (MP2020 scheme) in eV per atom: -8.12

Cell lengths 8.6286, 8.6286, 8.6286 Å; angles 90.00, 90.00, 90.00 degrees
Space group F-43m (No. 216)
One atom of each set of equivalent atoms:
Ba (0.0000, 0.0000, 0.0000) (multiplicity 4)
Ce (0.2500, 0.2500, 0.7500) (multiplicity 4)
Eu (0.0000, 0.0000, 0.5000) (multiplicity 4)
Sb (0.2500, 0.2500, 0.2500) (multiplicity 4)
O (0.0164, 0.2500, 0.2500) (multiplicity 24)



This record from Materials Project describes a relaxed BaCeEuSbO6 crystal. The functional is PBE.

Formation energy from the elements in eV/atom: -2.978
ΔE to the lowest computed polymorph in meV/atom: 0.0
Corrected total energy (MP2020 scheme) in eV per atom: -8.17

Cell lengths 6.0091, 6.1096, 8.5680 Å; angles 90.16, 90.27, 90.52 degrees
Space group P-1 (No. 2)
One atom of each set of equivalent atoms:
Ba (0.0113, 0.0393, 0.2495) (multiplicity 2)
Ce (0.0000, 0.5000, 0.5000) (multiplicity 1)
Ce (0.5000, 0.0000, 0.0000) (multiplicity 1)
Eu (0.4889, 0.5450, 0.2516) (multiplicity 2)
Sb (0.0000, 0.5000, 0.0000) (multiplicity 1)
Sb (0.5000, 0.0000, 0.5000) (multiplicity 1)
O (0.0920, 0.5110, 0.7620) (multiplicity 2)
O (0.2020, 0.7746, 0.0426) (multiplicity 2)
O (0.2266, 0.7948, 0.4575) (multiplicity 2)
O (0.2828, 0.3067, 0.0455) (multiplicity 2)
O (0.3089, 0.2853, 0.4561) (multiplicity 2)
O (0.4272, 0.0249, 0.7382) (multiplicity 2)